1.
VASP calculation (PBE) on an optimized crystal structure of Dy.

```
data_Dy
_chemical_formula_sum 'Dy4'
_cell_length_a 5.0117
_cell_length_b 5.0117
_cell_length_c 5.0117
_cell_angle_alpha 90.00
_cell_angle_beta 90.00
_cell_angle_gamma 90.00
_space_group_name_H-M_alt 'F m -3 m'
_space_group_IT_number 225
_space_group_name_Hall '-F 4 2 3'
loop_
_atom_site_label
_atom_site_type_symbol
_atom_site_fract_x
_atom_site_fract_y
_atom_site_fract_z
Dy1 Dy 0.0000 0.0000 0.0000
```

Properties
E_form, meV/atom: 21
Electronic total energy, eV for the cell shown: -18.34

2.
VASP calculation (PBE) on an optimized crystal structure of CsTbNb6Br18.

```
data_CsTbNb6Br18
_chemical_formula_sum 'Cs2 Tb2 Nb12 Br36'
_cell_length_a 9.9795
_cell_length_b 9.9795
_cell_length_c 18.6272
_cell_angle_alpha 90.00
_cell_angle_beta 90.00
_cell_angle_gamma 120.00
_space_group_name_H-M_alt 'P -3 1 c'
_space_group_IT_number 163
_space_group_name_Hall '-P 3 2c'
loop_
_atom_site_label
_atom_site_type_symbol
_atom_site_fract_x
_atom_site_fract_y
_atom_site_fract_z
Cs1 Cs 0.3333 0.6667 0.2500
Tb1 Tb 0.3333 0.6667 0.7500
Nb1 Nb 0.0382 0.1876 0.9352
Br1 Br 0.0462 0.2309 0.1590
Br2 Br 0.0851 0.4480 0.8386
Br3 Br 0.1388 0.4142 0.4992
```

Properties
E_form, meV/atom: -1517
Electronic total energy, eV for the cell shown: -250.87

3.
VASP calculation (PBE) on an optimized crystal structure of Zn3P2H7O12.

```
data_Zn3P2H7O12
_chemical_formula_sum 'Zn12 P8 H28 O48'
_cell_length_a 5.2297
_cell_length_b 10.6696
_cell_length_c 18.6512
_cell_angle_alpha 90.00
_cell_angle_beta 90.00
_cell_angle_gamma 90.00
_space_group_name_H-M_alt 'P 21 21 21'
_space_group_IT_number 19
_space_group_name_Hall 'P 2ac 2ab'
loop_
_atom_site_label
_atom_site_type_symbol
_atom_site_fract_x
_atom_site_fract_y
_atom_site_fract_z
Zn1 Zn 0.0376 0.1444 0.9997
Zn2 Zn 0.0448 0.1451 0.5013
Zn3 Zn 0.1703 0.2674 0.7509
P1 P 0.0187 0.3963 0.9057
P2 P 0.0284 0.3973 0.5940
H1 H 0.0314 0.5265 0.2525
H2 H 0.0473 0.5295 0.7501
H3 H 0.0625 0.7673 0.1387
H4 H 0.0665 0.7670 0.3618
H5 H 0.2069 0.8975 0.3567
H6 H 0.2083 0.8964 0.1432
H7 H 0.2374 0.3620 0.2503
O1 O 0.0172 0.8658 0.8269
O2 O 0.0275 0.6175 0.2476
O3 O 0.0363 0.8638 0.6726
O4 O 0.0801 0.6201 0.7500
O5 O 0.0916 0.0277 0.9216
O6 O 0.0978 0.0275 0.5785
O7 O 0.1017 0.8369 0.1714
O8 O 0.1037 0.8364 0.3287
O9 O 0.1185 0.8017 0.9576
O10 O 0.1224 0.8022 0.5407
O11 O 0.1840 0.6109 0.0771
O12 O 0.1910 0.6124 0.4206
```

Properties
E_form, meV/atom: -1758
Electronic total energy, eV for the cell shown: -526.75

> Which of these has the highest electronic total energy?

Dy

> Which formula does entry 3 have?

Zn3P2H7O12

Please write out number 3 again, unchanged.
VASP calculation (PBE) on an optimized crystal structure of Zn3P2H7O12.

```
data_Zn3P2H7O12
_chemical_formula_sum 'Zn12 P8 H28 O48'
_cell_length_a 5.2297
_cell_length_b 10.6696
_cell_length_c 18.6512
_cell_angle_alpha 90.00
_cell_angle_beta 90.00
_cell_angle_gamma 90.00
_space_group_name_H-M_alt 'P 21 21 21'
_space_group_IT_number 19
_space_group_name_Hall 'P 2ac 2ab'
loop_
_atom_site_label
_atom_site_type_symbol
_atom_site_fract_x
_atom_site_fract_y
_atom_site_fract_z
Zn1 Zn 0.0376 0.1444 0.9997
Zn2 Zn 0.0448 0.1451 0.5013
Zn3 Zn 0.1703 0.2674 0.7509
P1 P 0.0187 0.3963 0.9057
P2 P 0.0284 0.3973 0.5940
H1 H 0.0314 0.5265 0.2525
H2 H 0.0473 0.5295 0.7501
H3 H 0.0625 0.7673 0.1387
H4 H 0.0665 0.7670 0.3618
H5 H 0.2069 0.8975 0.3567
H6 H 0.2083 0.8964 0.1432
H7 H 0.2374 0.3620 0.2503
O1 O 0.0172 0.8658 0.8269
O2 O 0.0275 0.6175 0.2476
O3 O 0.0363 0.8638 0.6726
O4 O 0.0801 0.6201 0.7500
O5 O 0.0916 0.0277 0.9216
O6 O 0.0978 0.0275 0.5785
O7 O 0.1017 0.8369 0.1714
O8 O 0.1037 0.8364 0.3287
O9 O 0.1185 0.8017 0.9576
O10 O 0.1224 0.8022 0.5407
O11 O 0.1840 0.6109 0.0771
O12 O 0.1910 0.6124 0.4206
```

Properties
E_form, meV/atom: -1758
Electronic total energy, eV for the cell shown: -526.75

> What is the formula in the first record?

Dy